Compound: MgH40C10Br2N20O10
Source: the Materials Project
Functional: PBE-GGA
Structure: relaxed

## Properties
As for the space group: P2_1/c (14). For the magnetic moment, the calculation gives 0.000 μB per atom. Its crystal system is monoclinic. As for the volume: 10.3 Å³/atom.

Cell: 9.8715 7.2017 24.0564 Å, 90.00 93.90 90.00°
With the nearest neighbours (Å) after each atom.
Positions (direct):
Mg 0.0000 0.0000 0.0000  6 O 2.08-2.13
Mg 0.0000 0.5000 0.5000  6 O 2.08-2.13
H 0.0922 0.0785 0.3728  1 N 1.02
H 0.0922 0.4215 0.8728  1 N 1.02
H 0.1075 0.7170 0.3308  1 N 1.02
H 0.1075 0.7830 0.8308  1 N 1.02
H 0.1253 0.6078 0.7383  1 N 1.03
H 0.1253 0.8922 0.2383  1 N 1.03
H 0.1264 0.0439 0.7526  1 N 1.03
H 0.1264 0.4561 0.2526  1 N 1.03
H 0.1300 0.2088 0.4331  1 N 1.02
H 0.1300 0.2912 0.9331  1 N 1.02
H 0.1361 0.5728 0.1660  1 N 1.02
H 0.1361 0.9272 0.6660  1 N 1.02
H 0.1476 0.0771 0.1039  1 N 1.01
H 0.1476 0.4229 0.6039  1 N 1.01
H 0.2288 0.7387 0.9940  1 N 1.02
H 0.2288 0.7613 0.4940  1 N 1.02
H 0.2622 0.6693 0.1281  1 N 1.02
H 0.2622 0.8307 0.6281  1 N 1.02
H 0.2664 0.6969 0.8492  1 N 1.03
H 0.2664 0.8031 0.3492  1 N 1.03
H 0.2813 0.0102 0.2399  1 N 1.02
H 0.2812 0.1605 0.7422  1 N 1.02
H 0.2812 0.3395 0.2422  1 N 1.02
H 0.2813 0.4898 0.7399  1 N 1.02
H 0.3119 0.1451 0.1292  1 N 1.02
H 0.3119 0.3549 0.6292  1 N 1.02
H 0.3203 0.6207 0.9447  1 N 1.02
H 0.3203 0.8793 0.4447  1 N 1.02
H 0.3669 0.0635 0.9413  1 N 1.01
H 0.3669 0.4365 0.4413  1 N 1.01
H 0.3980 0.1617 0.5003  1 N 1.03
H 0.3980 0.3383 0.0003  1 N 1.03
H 0.4295 0.1565 0.5725  1 N 1.01
H 0.4295 0.3435 0.0725  1 N 1.01
H 0.4299 0.5150 0.3793  1 N 1.02
H 0.4299 0.9850 0.8793  1 N 1.02
H 0.4993 0.6948 0.6846  1 N 1.02
H 0.4993 0.8052 0.1846  1 N 1.02
H 0.4995 0.0713 0.3299  1 N 1.02
H 0.4995 0.4287 0.8299  1 N 1.02
H 0.5005 0.5713 0.1701  1 N 1.02
H 0.5005 0.9287 0.6701  1 N 1.02
H 0.5007 0.1948 0.8154  1 N 1.02
H 0.5007 0.3052 0.3154  1 N 1.02
H 0.5701 0.0150 0.1207  1 N 1.02
H 0.5701 0.4850 0.6207  1 N 1.02
H 0.5705 0.6565 0.9275  1 N 1.01
H 0.5705 0.8435 0.4275  1 N 1.01
H 0.6020 0.6617 0.9997  1 N 1.03
H 0.6020 0.8383 0.4997  1 N 1.03
H 0.6331 0.5635 0.5587  1 N 1.01
H 0.6331 0.9365 0.0587  1 N 1.01
H 0.6797 0.1207 0.5553  1 N 1.02
H 0.6797 0.3793 0.0553  1 N 1.02
H 0.6881 0.6451 0.3708  1 N 1.02
H 0.6881 0.8549 0.8708  1 N 1.02
H 0.7187 0.5102 0.2601  1 N 1.02
H 0.7188 0.6605 0.7578  1 N 1.02
H 0.7188 0.8395 0.2578  1 N 1.02
H 0.7187 0.9898 0.7601  1 N 1.02
H 0.7336 0.1969 0.6508  1 N 1.03
H 0.7336 0.3031 0.1508  1 N 1.03
H 0.7378 0.1693 0.3719  1 N 1.02
H 0.7378 0.3307 0.8719  1 N 1.02
H 0.7712 0.2387 0.5060  1 N 1.02
H 0.7712 0.2613 0.0060  1 N 1.02
H 0.8524 0.5771 0.3961  1 N 1.01
H 0.8524 0.9229 0.8961  1 N 1.01
H 0.8639 0.0728 0.3340  1 N 1.02
H 0.8639 0.4272 0.8340  1 N 1.02
H 0.8700 0.7088 0.0669  1 N 1.02
H 0.8700 0.7912 0.5669  1 N 1.02
H 0.8736 0.5439 0.7474  1 N 1.03
H 0.8736 0.9561 0.2474  1 N 1.03
H 0.8747 0.1078 0.7617  1 N 1.03
H 0.8747 0.3922 0.2617  1 N 1.03
H 0.8925 0.2170 0.1692  1 N 1.02
H 0.8925 0.2830 0.6692  1 N 1.02
H 0.9078 0.5785 0.1272  1 N 1.02
H 0.9078 0.9215 0.6272  1 N 1.02
C 0.0692 0.7050 0.0923  1 O 1.27, 2 N 1.35-1.36
C 0.0692 0.7950 0.5923  1 O 1.27, 2 N 1.35-1.36
C 0.1095 0.1741 0.2440  1 O 1.28, 2 N 1.35
C 0.1095 0.3259 0.7440  1 O 1.28, 2 N 1.35
C 0.1576 0.7205 0.4146  1 O 1.26, 2 N 1.36-1.37
C 0.1576 0.7795 0.9146  1 O 1.26, 2 N 1.36-1.37
C 0.2578 0.2006 0.0460  1 O 1.28, 2 N 1.35
C 0.2578 0.2994 0.5460  1 O 1.28, 2 N 1.35
C 0.4451 0.2322 0.3938  1 O 1.26, 2 N 1.35-1.37
C 0.4451 0.2678 0.8938  1 O 1.26, 2 N 1.35-1.37
C 0.5549 0.7322 0.1062  1 O 1.26, 2 N 1.35-1.37
C 0.5549 0.7678 0.6062  1 O 1.26, 2 N 1.35-1.37
C 0.7422 0.7006 0.4540  1 O 1.28, 2 N 1.35
C 0.7422 0.7994 0.9540  1 O 1.28, 2 N 1.35
C 0.8424 0.2205 0.0854  1 O 1.26, 2 N 1.36-1.37
C 0.8424 0.2795 0.5854  1 O 1.26, 2 N 1.36-1.37
C 0.8905 0.6741 0.2560  1 O 1.28, 2 N 1.35
C 0.8905 0.8259 0.7560  1 O 1.28, 2 N 1.35
C 0.9308 0.2050 0.4077  1 O 1.27, 2 N 1.35-1.36
C 0.9308 0.2950 0.9077  1 O 1.27, 2 N 1.35-1.36
Br 0.4783 0.7263 0.3016  4 H 2.48-2.63
Br 0.4783 0.7737 0.8016  4 H 2.48-2.63
Br 0.5217 0.2263 0.1984  4 H 2.48-2.63
Br 0.5217 0.2737 0.6984  4 H 2.48-2.63
N 0.0634 0.1766 0.4000  2 H 1.02
N 0.0634 0.3234 0.9000  2 H 1.02
N 0.1630 0.6345 0.1304  2 H 1.02
N 0.1630 0.8655 0.6304  2 H 1.02
N 0.1700 0.7213 0.8611  2 H 1.02-1.03
N 0.1700 0.7787 0.3611  2 H 1.02-1.03
N 0.1782 0.0144 0.2365  2 H 1.02-1.03
N 0.1782 0.4856 0.7365  2 H 1.02-1.03
N 0.1795 0.1644 0.7469  2 H 1.02-1.03
N 0.1795 0.3356 0.2469  2 H 1.02-1.03
N 0.2373 0.1397 0.0978  2 H 1.01-1.02
N 0.2373 0.3603 0.5978  2 H 1.01-1.02
N 0.2547 0.7246 0.9537  2 H 1.02
N 0.2547 0.7754 0.4537  2 H 1.02
N 0.3755 0.2094 0.5389  2 H 1.01-1.03
N 0.3755 0.2906 0.0389  2 H 1.01-1.03
N 0.4188 0.0898 0.9073  2 H 1.01-1.02
N 0.4188 0.4102 0.4073  2 H 1.01-1.02
N 0.4930 0.7040 0.1550  2 H 1.02
N 0.4930 0.7960 0.6550  2 H 1.02
N 0.5070 0.2040 0.3450  2 H 1.02
N 0.5070 0.2960 0.8450  2 H 1.02
N 0.5812 0.5898 0.5927  2 H 1.01-1.02
N 0.5812 0.9102 0.0927  2 H 1.01-1.02
N 0.6245 0.7094 0.9611  2 H 1.01-1.03
N 0.6245 0.7906 0.4611  2 H 1.01-1.03
N 0.7453 0.2246 0.5463  2 H 1.02
N 0.7453 0.2754 0.0463  2 H 1.02
N 0.7627 0.6397 0.4022  2 H 1.01-1.02
N 0.7627 0.8603 0.9022  2 H 1.01-1.02
N 0.8205 0.6644 0.7531  2 H 1.02-1.03
N 0.8205 0.8356 0.2531  2 H 1.02-1.03
N 0.8218 0.5144 0.2635  2 H 1.02-1.03
N 0.8218 0.9856 0.7635  2 H 1.02-1.03
N 0.8300 0.2213 0.6389  2 H 1.02-1.03
N 0.8300 0.2787 0.1389  2 H 1.02-1.03
N 0.8370 0.1345 0.3696  2 H 1.02
N 0.8370 0.3655 0.8696  2 H 1.02
N 0.9366 0.6766 0.1000  2 H 1.02
N 0.9366 0.8234 0.6000  2 H 1.02
O 0.0191 0.6723 0.2526  1 C 1.28
O 0.0191 0.8277 0.7526  1 C 1.28
O 0.0583 0.6209 0.4268  1 C 1.26
O 0.0583 0.8791 0.9268  1 C 1.26
O 0.1066 0.7020 0.5510  1 C 1.27
O 0.1066 0.7980 0.0510  1 C 1.27
O 0.1721 0.1716 0.0047  1 C 1.28
O 0.1721 0.3284 0.5047  1 C 1.28
O 0.4218 0.0976 0.4252  1 C 1.26
O 0.4218 0.4024 0.9252  1 C 1.26
O 0.5782 0.5976 0.0748  1 C 1.26
O 0.5782 0.9024 0.5748  1 C 1.26
O 0.8279 0.6716 0.4953  1 C 1.28
O 0.8279 0.8284 0.9953  1 C 1.28
O 0.8934 0.2020 0.9490  1 C 1.27
O 0.8934 0.2980 0.4490  1 C 1.27
O 0.9417 0.1209 0.0732  1 C 1.26
O 0.9417 0.3791 0.5732  1 C 1.26
O 0.9809 0.1723 0.2474  1 C 1.28
O 0.9809 0.3277 0.7474  1 C 1.28

=====

Compound: MgH20C4Br2N8O6
Source: the Materials Project
Functional: PBE-GGA
Structure: relaxed

## Properties
As for the space group: P2_1/c (14). For the magnetic moment, the calculation gives 0.049 μB per atom. Its crystal system is monoclinic. As for the volume: 14.5 Å³/atom.

Cell: 10.7918 11.8487 9.8997 Å, 90.00 110.32 90.00°
With the nearest neighbours (Å) after each atom.
Positions (direct):
Mg 0.0000 0.0000 0.0000  4 O 1.97-2.07
Mg 0.0000 0.5000 0.5000  4 O 1.97-2.07
H 0.0040 0.0969 0.6196  1 H 0.75
H 0.0040 0.4031 0.1196  1 H 0.75
H 0.0472 0.6269 0.9415  1 H 0.75
H 0.0472 0.8731 0.4415  1 H 0.75
H 0.0767 0.2147 0.0724  1 O 0.98
H 0.0767 0.2853 0.5724  1 O 0.98
H 0.1405 0.1465 0.2149  1 O 0.98
H 0.1405 0.3535 0.7149  1 O 0.98
H 0.2338 0.2408 0.5214  1 Br 1.66
H 0.2338 0.2592 0.0214  1 Br 1.66
H 0.4229 0.5671 0.5596  1 N 1.03
H 0.4229 0.9329 0.0596  1 N 1.03
H 0.4241 0.1835 0.5830  1 Br 1.45
H 0.4241 0.3165 0.0830  1 Br 1.45
H 0.4343 0.7098 0.1099  1 N 1.03
H 0.4343 0.7902 0.6099  1 N 1.03
H 0.4798 0.6066 0.4326  1 N 1.02
H 0.4798 0.8934 0.9326  1 N 1.02
H 0.4995 0.0856 0.3655  1 N 1.03
H 0.4995 0.4144 0.8655  1 N 1.03
H 0.5005 0.5856 0.1345  1 N 1.03
H 0.5005 0.9144 0.6345  1 N 1.03
H 0.5202 0.1066 0.0674  1 N 1.02
H 0.5202 0.3934 0.5674  1 N 1.02
H 0.5657 0.2098 0.3901  1 N 1.03
H 0.5657 0.2902 0.8901  1 N 1.03
H 0.5759 0.6835 0.9170  1 Br 1.45
H 0.5759 0.8165 0.4170  1 Br 1.45
H 0.5771 0.0671 0.9404  1 N 1.03
H 0.5771 0.4329 0.4404  1 N 1.03
H 0.7662 0.7408 0.9786  1 Br 1.66
H 0.7662 0.7592 0.4786  1 Br 1.66
H 0.8595 0.6465 0.2851  1 O 0.98
H 0.8595 0.8535 0.7851  1 O 0.98
H 0.9233 0.7147 0.4276  1 O 0.98
H 0.9233 0.7853 0.9276  1 O 0.98
H 0.9528 0.1269 0.5585  1 H 0.75
H 0.9528 0.3731 0.0585  1 H 0.75
H 0.9960 0.5969 0.8804  1 H 0.75
H 0.9960 0.9031 0.3804  1 H 0.75
C 0.2094 0.5269 0.3228  1 O 1.17
C 0.2091 0.6116 0.7315  1 O 1.26, 2 N 1.33
C 0.2091 0.8884 0.2315  1 O 1.26, 2 N 1.33
C 0.2094 0.9731 0.8228  1 O 1.17
C 0.7906 0.0269 0.1772  1 O 1.17
C 0.7909 0.1116 0.7685  1 O 1.26, 2 N 1.33
C 0.7909 0.3884 0.2685  1 O 1.26, 2 N 1.33
C 0.7906 0.4731 0.6772  1 O 1.17
Br 0.3395 0.2124 0.4374  1 H 1.45
Br 0.3395 0.2876 0.9374  1 H 1.45
Br 0.6605 0.7124 0.0626  1 H 1.45
Br 0.6605 0.7876 0.5626  1 H 1.45
N 0.3063 0.5903 0.8551  1 C 1.33
N 0.3063 0.9097 0.3551  1 C 1.33
N 0.3221 0.6480 0.7207  1 C 1.33
N 0.3221 0.8520 0.2207  1 C 1.33
N 0.4460 0.5388 0.4732  2 H 1.02-1.03
N 0.4460 0.9612 0.9732  2 H 1.02-1.03
N 0.4787 0.1686 0.3353  2 H 1.03
N 0.4787 0.3314 0.8353  2 H 1.03
N 0.5213 0.6686 0.1647  2 H 1.03
N 0.5213 0.8314 0.6647  2 H 1.03
N 0.5540 0.0388 0.0268  2 H 1.02-1.03
N 0.5540 0.4612 0.5268  2 H 1.02-1.03
N 0.6779 0.1480 0.7793  1 C 1.33
N 0.6779 0.3520 0.2793  1 C 1.33
N 0.6937 0.0903 0.6449  1 C 1.33
N 0.6937 0.4097 0.1449  1 C 1.33
O 0.0699 0.1442 0.1212  2 H 0.98
O 0.0699 0.3558 0.6212  2 H 0.98
O 0.0868 0.6002 0.6647  1 C 1.26
O 0.0868 0.8998 0.1647  1 C 1.26
O 0.1650 0.5167 0.4141  1 C 1.17
O 0.1650 0.9833 0.9141  1 C 1.17
O 0.8350 0.0167 0.0859  1 C 1.17
O 0.8350 0.4833 0.5859  1 C 1.17
O 0.9132 0.1002 0.8353  1 C 1.26
O 0.9132 0.3998 0.3353  1 C 1.26
O 0.9301 0.6442 0.3788  2 H 0.98
O 0.9301 0.8558 0.8788  2 H 0.98

=====

The records above yield raw total energy values of -5.99, -5.06 eV/atom, respectively.